Here is a geometry-optimized CdCoH18N6Cl5 structure from Materials Project. Energies are from PBE.

Calculated values
Total magnetic moment (μB/f.u.): 0.00
Space-group type: Fd-3c (228)
V (Å³ per atom): 11.79

Geometry as POSCAR:
```
CdCoH18N6Cl5
1.0
0.0000 11.3489 11.3489
11.3489 0.0000 11.3489
11.3489 11.3489 0.0000
Cd Co H N Cl
8 8 144 48 40
Cartesian
5.6745 5.6745 5.6745
11.3489 11.3489 5.6745
11.3489 5.6745 11.3489
17.0234 11.3489 11.3489
5.6745 11.3489 11.3489
11.3489 17.0234 11.3489
11.3489 11.3489 17.0234
17.0234 17.0234 17.0234
0.0000 0.0000 0.0000
5.6745 5.6745 0.0000
5.6745 0.0000 5.6745
11.3489 5.6745 5.6745
0.0000 5.6745 5.6745
5.6745 11.3489 5.6745
5.6745 5.6745 11.3489
11.3489 11.3489 11.3489
7.7184 6.8987 0.8686
16.1549 9.3050 6.8987
10.1247 0.8686 9.3050
10.6484 9.4110 1.4919
7.6124 1.4919 6.3750
15.5315 6.3750 9.4110
17.0876 10.1673 7.9705
20.4018 11.2847 10.1673
18.2050 7.9705 11.2847
9.4110 6.3750 4.1825
12.8409 7.6124 6.3750
10.6484 4.1825 7.6124
5.6102 4.4928 2.2960
14.7274 11.4132 4.4928
12.5306 2.2960 11.4132
9.3050 10.1247 0.8686
6.8987 0.8686 7.7184
16.1549 7.7184 10.1247
10.1247 7.7184 4.8059
9.3050 4.8059 6.8987
12.2175 6.8987 7.7184
6.3750 7.6124 1.4919
15.5315 10.6484 7.6124
9.4110 1.4919 10.6484
11.4132 12.5306 2.2960
4.4928 2.2960 5.6102
14.7274 5.6102 12.5306
9.0529 6.8561 5.7387
11.2847 7.9705 6.8561
10.1673 5.7387 7.9705
14.9794 12.5732 6.5430
16.3228 13.2869 7.1664
15.0855 7.1664 12.0495
21.8293 13.3929 12.5732
21.2059 12.0495 13.2869
15.7992 6.5430 13.3929
7.6124 10.6484 4.1825
6.8987 9.3050 4.8059
12.2175 10.1247 9.3050
6.3750 4.1825 9.4110
7.7184 4.8059 10.1247
12.8409 9.4110 10.6484
2.2960 5.6102 4.4928
12.5306 14.7274 5.6102
11.4132 4.4928 14.7274
7.9705 10.1673 5.7387
6.8561 5.7387 9.0529
11.2847 9.0529 10.1673
13.2869 12.0495 9.8570
18.5153 15.0855 12.0495
16.3228 9.8570 15.0855
13.3929 15.7992 6.5430
12.5732 6.5430 14.9794
21.8293 14.9794 15.7992
15.7992 14.9794 10.4804
13.3929 10.4804 12.5732
17.8920 12.5732 14.9794
5.7387 9.0529 6.8561
10.1673 11.2847 9.0529
7.9705 6.8561 11.2847
12.0495 15.0855 7.1664
21.2059 16.3228 15.0855
13.2869 7.1664 16.3228
13.6450 12.5306 11.4132
16.9592 14.7274 12.5306
15.8418 11.4132 14.7274
15.0855 16.3228 9.8570
12.0495 9.8570 13.2869
18.5153 13.2869 16.3228
12.5732 13.3929 10.4804
17.8920 15.7992 13.3929
14.9794 10.4804 15.7992
7.7184 12.2175 6.8987
4.8059 6.8987 9.3050
10.1247 9.3050 12.2175
4.1825 9.4110 6.3750
10.6484 12.8409 9.4110
7.6124 6.3750 12.8409
6.8561 11.2847 7.9705
5.7387 7.9705 10.1673
9.0529 10.1673 11.2847
9.4110 15.5315 6.3750
1.4919 6.3750 7.6124
10.6484 7.6124 15.5315
14.7274 15.8418 11.4132
12.5306 11.4132 13.6450
16.9592 13.6450 15.8418
4.8059 10.1247 7.7184
9.3050 12.2175 10.1247
6.8987 7.7184 12.2175
0.8686 7.7184 6.8987
10.1247 16.1549 7.7184
9.3050 6.8987 16.1549
6.3750 12.8409 7.6124
4.1825 7.6124 10.6484
9.4110 10.6484 12.8409
11.4132 13.6450 12.5306
15.8418 16.9592 13.6450
14.7274 12.5306 16.9592
11.2847 18.2050 7.9705
10.1673 7.9705 17.0876
20.4018 17.0876 18.2050
9.8570 13.2869 12.0495
14.9794 17.8920 12.5732
16.3228 18.5153 13.2869
10.4804 12.5732 13.3929
15.7992 13.3929 17.8920
15.0855 12.0495 18.5153
6.8987 16.1549 9.3050
1.4919 10.6484 9.4110
0.8686 9.3050 10.1247
7.6124 15.5315 10.6484
6.3750 9.4110 15.5315
7.7184 10.1247 16.1549
12.5306 16.9592 14.7274
11.4132 14.7274 15.8418
13.6450 15.8418 16.9592
7.9705 17.0876 10.1673
18.2050 20.4018 17.0876
11.2847 10.1673 20.4018
13.2869 21.2059 12.0495
7.1664 12.0495 15.0855
16.3228 15.0855 21.2059
10.4804 15.7992 14.9794
13.3929 17.8920 15.7992
12.5732 14.9794 17.8920
6.5430 14.9794 12.5732
15.7992 21.8293 14.9794
13.3929 12.5732 21.8293
10.1673 20.4018 11.2847
7.9705 11.2847 18.2050
17.0876 18.2050 20.4018
12.0495 18.5153 15.0855
9.8570 15.0855 16.3228
13.2869 16.3228 18.5153
4.4928 14.7274 11.4132
2.2960 11.4132 12.5306
5.6102 12.5306 14.7274
7.1664 16.3228 13.2869
15.0855 21.2059 16.3228
12.0495 13.2869 21.2059
12.5732 21.8293 13.3929
6.5430 13.3929 15.7992
14.9794 15.7992 21.8293
10.2603 9.8154 0.6276
7.2080 0.6276 6.7631
16.3958 6.7631 9.8154
6.7631 7.2080 0.6276
16.3958 10.2603 7.2080
9.8154 0.6276 10.2603
9.8154 6.7631 5.0469
11.9765 7.2080 6.7631
10.2603 5.0469 7.2080
15.9348 12.8825 6.3020
15.4898 6.3020 12.4375
22.0703 12.4375 12.8825
7.2080 10.2603 5.0469
6.7631 5.0469 9.8154
11.9765 9.8154 10.2603
12.4375 15.4898 6.3020
22.0703 15.9348 15.4898
12.8825 6.3020 15.9348
12.8825 12.4375 10.7214
17.6510 15.4898 12.4375
15.9348 10.7214 15.4898
15.4898 15.9348 10.7214
12.4375 10.7214 12.8825
17.6510 12.8825 15.9348
5.0469 9.8154 6.7631
10.2603 11.9765 9.8154
7.2080 6.7631 11.9765
6.7631 11.9765 7.2080
5.0469 7.2080 10.2603
9.8154 10.2603 11.9765
9.8154 16.3958 6.7631
0.6276 6.7631 7.2080
10.2603 7.2080 16.3958
10.7214 12.8825 12.4375
15.9348 17.6510 12.8825
15.4898 12.4375 17.6510
0.6276 10.2603 9.8154
7.2080 16.3958 10.2603
6.7631 9.8154 16.3958
12.4375 17.6510 15.4898
10.7214 15.4898 15.9348
12.8825 15.9348 17.6510
12.8825 22.0703 12.4375
6.3020 12.4375 15.4898
15.9348 15.4898 22.0703
6.3020 15.9348 12.8825
15.4898 22.0703 15.9348
12.4375 12.8825 22.0703
18.4923 9.8800 9.8800
11.3489 9.4780 3.8036
7.5454 3.8036 5.6745
13.2199 5.6745 9.4780
4.2056 4.2056 4.2056
12.8179 12.8179 4.2056
12.8179 4.2056 12.8179
5.6745 7.5454 3.8036
13.2199 11.3489 7.5454
17.0234 13.2199 9.4780
9.4780 3.8036 11.3489
15.1525 9.4780 11.3489
18.8943 11.3489 13.2199
7.1434 7.1434 7.1434
9.8800 9.8800 7.1434
9.8800 7.1434 9.8800
9.4780 13.2199 5.6745
3.8036 5.6745 7.5454
11.3489 7.5454 13.2199
15.5545 12.8179 12.8179
7.1434 9.8800 9.8800
11.3489 15.1525 9.4780
18.8943 17.0234 15.1525
13.2199 9.4780 17.0234
12.8179 15.5545 12.8179
12.8179 12.8179 15.5545
15.5545 15.5545 15.5545
3.8036 11.3489 9.4780
7.5454 13.2199 11.3489
13.2199 18.8943 11.3489
5.6745 9.4780 13.2199
9.4780 11.3489 15.1525
17.0234 15.1525 18.8943
9.8800 18.4923 9.8800
9.8800 9.8800 18.4923
18.4923 18.4923 18.4923
9.4780 17.0234 13.2199
15.1525 18.8943 17.0234
11.3489 13.2199 18.8943
4.2056 12.8179 12.8179
```



Here is a geometry-optimized In2HgO4 structure from Materials Project. Energies are from PBE.

Calculated values
Space-group type: Fd-3m (227)
V (Å³ per atom): 14.96

Geometry as POSCAR:
```
In2HgO4
1.0
0.0000 4.7133 4.7133
4.7133 0.0000 4.7133
4.7133 4.7133 0.0000
In Hg O
4 2 8
Cartesian
0.0000 0.0000 0.0000
2.3567 2.3567 0.0000
2.3567 0.0000 2.3567
0.0000 2.3567 2.3567
3.5350 3.5350 3.5350
5.8917 5.8917 5.8917
7.2175 4.5659 4.5659
2.2092 2.2092 2.2092
4.8608 4.8608 2.2092
4.8608 2.2092 4.8608
4.5659 7.2175 4.5659
4.5659 4.5659 7.2175
7.2175 7.2175 7.2175
2.2092 4.8608 4.8608
```



Here is a geometry-optimized SiBH3CNCl3 structure from Materials Project. Energies are from PBE.

Calculated values
Total magnetic moment (μB/f.u.): 0.00
Space-group type: R3c (161)
V (Å³ per atom): 20.46

Geometry as POSCAR:
```
SiBH3CNCl3
1.0
8.9569 5.1713 4.4172
-8.9569 5.1713 4.4172
0.0000 -10.3426 4.4172
Si B H C N Cl
6 6 18 6 6 18
Cartesian
-1.6560 -6.9629 4.4172
-5.2020 4.9156 4.4172
-3.7549 -0.2557 6.6258
2.0989 -3.1240 6.6258
1.6560 3.3797 6.6258
6.8580 2.0473 4.4172
-1.4611 -0.0497 4.8308
0.7736 -1.2405 4.8308
0.6875 1.2902 4.8308
-0.7736 -1.2405 11.4565
-0.6875 1.2902 11.4565
1.4611 -0.0497 11.4565
-7.6704 -3.1132 7.0113
-5.4522 -4.3647 6.6993
-3.4499 -0.9633 4.3588
-3.5047 0.8066 4.4907
-1.1391 -2.1432 4.8027
1.0538 -3.4385 4.4907
-1.2865 2.0580 4.8027
2.5592 -2.5060 4.3588
0.8907 3.4693 4.3588
2.4256 0.0851 4.8027
2.4509 2.6318 4.4907
-2.5592 -2.5060 10.9846
-1.0538 6.9041 6.6993
6.5314 -5.0862 7.0113
6.5060 -2.5394 6.6993
1.1391 8.1994 7.0113
-0.8907 3.4693 10.9846
3.4499 -0.9633 10.9846
-5.9064 -5.2729 7.1283
-3.0505 -0.1016 4.9197
1.6133 -2.5910 4.9197
1.4372 2.6927 4.9197
-1.6133 7.7515 7.1283
7.5197 -2.4786 7.1283
-0.6623 -1.2437 4.8038
-0.7459 1.1954 4.8038
1.4082 0.0482 4.8038
-1.4082 0.0483 11.4296
0.6623 -1.2437 11.4296
0.7459 1.1954 11.4296
-2.5502 -5.1037 4.4002
-5.8121 -0.4109 6.6087
-5.8977 3.2285 5.3600
0.1529 -6.7218 5.3600
-3.1448 4.7604 4.4002
-5.6543 -3.7952 9.9962
-3.0592 -1.9428 7.5686
-3.3026 1.3761 7.7876
0.4596 -3.5482 7.7876
3.2619 -4.8280 6.6087
5.6950 0.3433 4.4001
-0.1529 3.6207 7.5686
3.2121 -1.6780 7.5686
2.5502 5.2389 6.6087
2.8430 2.1721 7.7876
5.7448 3.4933 5.3600
-0.4596 6.7944 9.9962
6.1139 -2.9992 9.9962
```



Here is a geometry-optimized LaMg6Cu structure from Materials Project. Energies are from PBE.

Calculated values
Total magnetic moment (μB/f.u.): 0.00
Energy above the lowest structure with this stoichiometry (meV/atom): 0
V (Å³ per atom): 23.95

Geometry as POSCAR:
```
LaMg6Cu
1.0
-4.4578 1.2688 1.7499
-2.5535 -4.1063 -3.5275
1.1811 -8.8019 9.3911
Mg Cu La
12 2 2
Cartesian
-1.7648 -8.6666 8.8014
-0.3391 -9.0406 5.6915
-0.8544 -5.2008 1.5946
0.3471 -2.5865 2.7597
0.0322 -6.1068 4.5102
-3.6321 -6.3188 2.3421
-0.5401 -1.6765 -0.1602
-1.8350 -3.7590 -1.9491
-3.0286 -10.6990 7.0555
-1.2262 -8.1306 2.7716
1.0129 -7.5486 8.0539
-2.3424 -4.2449 4.1237
-2.7714 -6.8903 4.9490
-2.0852 -0.4362 2.0172
-1.4044 -5.5100 7.4307
-3.2717 -3.1622 0.9714
```



| no. | ΔH_f (0 K) (eV per atom) |
| --- | --- |
| 1 | -0.672 |
| 2 | -1.603 |
| 3 | -0.967 |
| 4 | 0.013 |